No. 1
Entry from the Materials Project database: a relaxed AgAuI4O12 crystal (PBE).

a b c (Å): 8.120 5.844 13.083
angles (deg): 90.00 107.26 90.00
Space group Pc (No. 7)
Asymmetric unit:
Ag (0.000, 0.136, 0.000) (multiplicity 2)
Au (0.468, 0.249, 0.968) (multiplicity 2)
I (0.166, 0.116, 0.298) (multiplicity 2)
I (0.281, 0.432, 0.628) (multiplicity 2)
I (0.658, 0.067, 0.311) (multiplicity 2)
I (0.769, 0.393, 0.640) (multiplicity 2)
O (0.090, 0.407, 0.145) (multiplicity 2)
O (0.138, 0.069, 0.681) (multiplicity 2)
O (0.182, 0.340, 0.493) (multiplicity 2)
O (0.225, 0.127, 0.902) (multiplicity 2)
O (0.378, 0.248, 0.322) (multiplicity 2)
O (0.394, 0.292, 0.102) (multiplicity 2)
O (0.538, 0.205, 0.833) (multiplicity 2)
O (0.558, 0.255, 0.617) (multiplicity 2)
O (0.710, 0.370, 0.034) (multiplicity 2)
O (0.761, 0.143, 0.450) (multiplicity 2)
O (0.795, 0.423, 0.256) (multiplicity 2)
O (0.849, 0.088, 0.795) (multiplicity 2)

## Properties
* total DFT energy (no corrections): -4.232 eV/atom
* crystal system: monoclinic
* formation enthalpy at 0 K: -0.71 eV/atom
* total moment: 0.00 μB per atom

***

No. 2
Entry from the Materials Project database: a relaxed MgTe2Mo2W2Se4S2 crystal (PBE).

a b c (Å): 3.3348 3.3348 45.7194
angles (deg): 90.00 90.00 120.00
Space group P3m1 (No. 156)
Asymmetric unit:
Mg (0.0000, 0.0000, 0.0000) (multiplicity 1)
Te (0.6667, 0.3333, 0.4890) (multiplicity 1)
Te (0.6667, 0.3333, 0.5721) (multiplicity 1)
Mo (0.3333, 0.6667, 0.5305) (multiplicity 1)
Mo (0.6667, 0.3333, 0.7184) (multiplicity 1)
W (0.3333, 0.6667, 0.8989) (multiplicity 1)
W (0.6667, 0.3333, 0.1019) (multiplicity 1)
Se (0.3333, 0.6667, 0.0648) (multiplicity 1)
Se (0.3333, 0.6667, 0.1385) (multiplicity 1)
Se (0.6667, 0.3333, 0.8623) (multiplicity 1)
Se (0.6667, 0.3333, 0.9359) (multiplicity 1)
S (0.3333, 0.6667, 0.6852) (multiplicity 1)
S (0.3333, 0.6667, 0.7516) (multiplicity 1)

## Properties
* total DFT energy (no corrections): -6.424 eV/atom
* crystal system: trigonal
* formation enthalpy at 0 K: -0.52 eV/atom
* energy above the most stable polymorph in this dataset: 0.33 eV/f.u.
* total moment: 0.00 μB per atom

***

No. 3
Entry from the Materials Project database: a relaxed Mg3C2O7 crystal (PBE).

a b c (Å): 8.925 8.925 8.144
angles (deg): 90.00 90.00 90.00
Space group I-42m (No. 121)
Asymmetric unit:
Mg (0.000, 0.283, 0.000) (multiplicity 8)
Mg (0.000, 0.500, 0.250) (multiplicity 4)
C (0.239, 0.239, 0.720) (multiplicity 8)
O (0.000, 0.500, 0.000) (multiplicity 4)
O (0.114, 0.292, 0.774) (multiplicity 16)
O (0.186, 0.186, 0.106) (multiplicity 8)

## Properties
* total DFT energy (no corrections): -6.910 eV/atom
* crystal system: tetragonal
* formation enthalpy at 0 K: -2.49 eV/atom
* total moment: 0.00 μB per atom

***

No. 4
Entry from the Materials Project database: a relaxed NdCo2Ge2 crystal (PBE).

a b c (Å): 4.023 4.023 10.323
angles (deg): 90.00 90.00 90.00
Space group I4/mmm (No. 139)
Asymmetric unit:
Nd (0.000, 0.000, 0.000) (multiplicity 2)
Co (0.000, 0.500, 0.250) (multiplicity 4)
Ge (0.000, 0.000, 0.368) (multiplicity 4)

## Properties
* total DFT energy (no corrections): -6.240 eV/atom
* crystal system: tetragonal
* formation enthalpy at 0 K: -0.59 eV/atom

***

No. 5
Entry from the Materials Project database: a relaxed NdAsPd crystal (PBE).

a b c (Å): 4.3912 4.3912 7.8229
angles (deg): 90.00 90.00 120.00
Space group P6_3mc (No. 186)
Asymmetric unit:
Nd (0.0000, 0.0000, 0.0000) (multiplicity 2)
As (0.3333, 0.6667, 0.2636) (multiplicity 2)
Pd (0.3333, 0.6667, 0.7365) (multiplicity 2)

## Properties
* total DFT energy (no corrections): -6.051 eV/atom
* crystal system: hexagonal
* formation enthalpy at 0 K: -1.18 eV/atom

***

No. 6
Entry from the Materials Project database: a relaxed Li7B18O crystal (PBE).

a b c (Å): 8.171 4.123 8.176
angles (deg): 90.00 119.91 90.00
Space group Pm (No. 6)
Asymmetric unit:
Li (0.000, 0.000, 0.000) (multiplicity 1)
Li (0.021, 0.500, 0.246) (multiplicity 1)
Li (0.081, 0.000, 0.500) (multiplicity 1)
Li (0.294, 0.000, 0.344) (multiplicity 1)
Li (0.337, 0.000, 0.913) (multiplicity 1)
Li (0.689, 0.000, 0.573) (multiplicity 1)
Li (0.746, 0.000, 0.127) (multiplicity 1)
B (0.008, 0.203, 0.736) (multiplicity 2)
B (0.131, 0.500, 0.688) (multiplicity 1)
B (0.131, 0.500, 0.910) (multiplicity 1)
B (0.335, 0.500, 0.686) (multiplicity 1)
B (0.336, 0.500, 0.116) (multiplicity 1)
B (0.458, 0.500, 0.564) (multiplicity 1)
B (0.461, 0.500, 0.360) (multiplicity 1)
B (0.507, 0.199, 0.736) (multiplicity 2)
B (0.510, 0.202, 0.237) (multiplicity 2)
B (0.557, 0.500, 0.908) (multiplicity 1)
B (0.558, 0.500, 0.114) (multiplicity 1)
B (0.680, 0.500, 0.788) (multiplicity 1)
B (0.683, 0.500, 0.358) (multiplicity 1)
B (0.885, 0.500, 0.786) (multiplicity 1)
B (0.887, 0.500, 0.564) (multiplicity 1)
O (0.023, 0.000, 0.241) (multiplicity 1)

## Properties
* total DFT energy (no corrections): -5.715 eV/atom
* crystal system: monoclinic
* formation enthalpy at 0 K: -0.41 eV/atom
* energy above the most stable polymorph in this dataset: 0.09 eV/f.u.
* total moment: 0.00 μB per atom

***

No. 7
Entry from the Materials Project database: a relaxed EuIn4 crystal (PBE).

a b c (Å): 12.093 5.152 10.031
angles (deg): 90.00 114.49 90.00
Space group C2/m (No. 12)
Asymmetric unit:
Eu (0.165, 0.000, 0.207) (multiplicity 4)
In (0.062, 0.500, 0.396) (multiplicity 4)
In (0.077, 0.500, 0.924) (multiplicity 4)
In (0.154, 0.000, 0.846) (multiplicity 4)
In (0.155, 0.000, 0.552) (multiplicity 4)

## Properties
* total DFT energy (no corrections): -4.520 eV/atom
* crystal system: monoclinic
* formation enthalpy at 0 K: -0.27 eV/atom

***

No. 8
Entry from the Materials Project database: a relaxed InSe2N crystal (PBE).

a b c (Å): 7.237 7.237 7.019
angles (deg): 90.00 90.00 90.00
Space group I4/mcm (No. 140)
Asymmetric unit:
In (0.000, 0.500, 0.250) (multiplicity 4)
Se (0.193, 0.307, 0.000) (multiplicity 8)
N (0.000, 0.000, 0.250) (multiplicity 4)

## Properties
* total DFT energy (no corrections): -3.375 eV/atom
* crystal system: tetragonal
* formation enthalpy at 0 K: 1.06 eV/atom
* total moment: 0.50 μB per atom

***

No. 9
Entry from the Materials Project database: a relaxed SmMn6Ge6 crystal (PBE).

a b c (Å): 5.2081 5.2081 8.1545
angles (deg): 90.00 90.00 120.00
Space group P6/mmm (No. 191)
Asymmetric unit:
Sm (0.0000, 0.0000, 0.0000) (multiplicity 1)
Mn (0.0000, 0.5000, 0.2516) (multiplicity 6)
Ge (0.0000, 0.0000, 0.3466) (multiplicity 2)
Ge (0.3333, 0.6667, 0.0000) (multiplicity 2)
Ge (0.3333, 0.6667, 0.5000) (multiplicity 2)

## Properties
* total DFT energy (no corrections): -7.025 eV/atom
* crystal system: hexagonal
* formation enthalpy at 0 K: -0.30 eV/atom
* total moment: 0.90 μB per atom

***

No. 10
Entry from the Materials Project database: a relaxed Na7La2Ga2SiP5O24 crystal (PBE).

a b c (Å): 9.233 9.253 22.719
angles (deg): 89.67 89.97 60.25
Space group P1 (No. 1)
Asymmetric unit:
Na (0.000, 0.000, 0.000) (multiplicity 1)
Na (0.005, 0.283, 0.489) (multiplicity 1)
Na (0.009, 0.640, 0.244) (multiplicity 1)
Na (0.012, 0.626, 0.745) (multiplicity 1)
Na (0.050, 0.935, 0.324) (multiplicity 1)
Na (0.304, 0.679, 0.829) (multiplicity 1)
Na (0.305, 0.302, 0.329) (multiplicity 1)
Na (0.332, 0.985, 0.924) (multiplicity 1)
Na (0.357, 0.964, 0.410) (multiplicity 1)
Na (0.359, 0.328, 0.667) (multiplicity 1)
Na (0.366, 0.282, 0.998) (multiplicity 1)
Na (0.376, 0.621, 0.495) (multiplicity 1)
Na (0.649, 0.649, 0.997) (multiplicity 1)
Na (0.654, 0.010, 0.490) (multiplicity 1)
Na (0.661, 0.316, 0.082) (multiplicity 1)
Na (0.665, 0.314, 0.580) (multiplicity 1)
Na (0.674, 0.934, 0.834) (multiplicity 1)
Na (0.687, 0.609, 0.666) (multiplicity 1)
Na (0.712, 0.980, 0.166) (multiplicity 1)
Na (0.965, 0.345, 0.168) (multiplicity 1)
Na (0.981, 0.977, 0.673) (multiplicity 1)
La (0.005, 0.633, 0.900) (multiplicity 1)
La (0.017, 0.636, 0.588) (multiplicity 1)
La (0.017, 0.643, 0.098) (multiplicity 1)
La (0.330, 0.984, 0.770) (multiplicity 1)
La (0.340, 0.975, 0.571) (multiplicity 1)
La (0.998, 0.638, 0.390) (multiplicity 1)
Ga (0.349, 0.962, 0.264) (multiplicity 1)
Ga (0.349, 0.967, 0.070) (multiplicity 1)
Ga (0.666, 0.321, 0.229) (multiplicity 1)
Ga (0.668, 0.315, 0.423) (multiplicity 1)
Ga (0.674, 0.311, 0.733) (multiplicity 1)
Ga (0.678, 0.303, 0.932) (multiplicity 1)
Si (0.335, 0.322, 0.491) (multiplicity 1)
Si (0.349, 0.648, 0.669) (multiplicity 1)
Si (0.684, 0.963, 0.999) (multiplicity 1)
P (0.011, 0.315, 0.003) (multiplicity 1)
P (0.013, 0.292, 0.663) (multiplicity 1)
P (0.052, 0.985, 0.168) (multiplicity 1)
P (0.331, 0.642, 0.994) (multiplicity 1)
P (0.351, 0.249, 0.169) (multiplicity 1)
P (0.397, 0.604, 0.326) (multiplicity 1)
P (0.399, 0.311, 0.833) (multiplicity 1)
P (0.621, 0.680, 0.167) (multiplicity 1)
P (0.660, 0.981, 0.669) (multiplicity 1)
P (0.662, 0.035, 0.323) (multiplicity 1)
P (0.679, 0.582, 0.832) (multiplicity 1)
P (0.693, 0.629, 0.497) (multiplicity 1)
P (0.949, 0.027, 0.833) (multiplicity 1)
P (0.966, 0.291, 0.324) (multiplicity 1)
P (0.996, 0.967, 0.491) (multiplicity 1)
O (0.020, 0.834, 0.169) (multiplicity 1)
O (0.024, 0.846, 0.439) (multiplicity 1)
O (0.061, 0.393, 0.952) (multiplicity 1)
O (0.077, 0.204, 0.603) (multiplicity 1)
O (0.130, 0.996, 0.838) (multiplicity 1)
O (0.143, 0.129, 0.326) (multiplicity 1)
O (0.147, 0.990, 0.112) (multiplicity 1)
O (0.149, 0.197, 0.710) (multiplicity 1)
O (0.152, 0.987, 0.494) (multiplicity 1)
O (0.153, 0.969, 0.225) (multiplicity 1)
O (0.163, 0.138, 0.012) (multiplicity 1)
O (0.186, 0.622, 0.666) (multiplicity 1)
O (0.188, 0.421, 0.167) (multiplicity 1)
O (0.201, 0.415, 0.437) (multiplicity 1)
O (0.218, 0.623, 0.326) (multiplicity 1)
O (0.224, 0.470, 0.829) (multiplicity 1)
O (0.224, 0.682, 0.937) (multiplicity 1)
O (0.249, 0.589, 0.043) (multiplicity 1)
O (0.264, 0.426, 0.553) (multiplicity 1)
O (0.314, 0.777, 0.723) (multiplicity 1)
O (0.331, 0.161, 0.225) (multiplicity 1)
O (0.336, 0.803, 0.008) (multiplicity 1)
O (0.366, 0.132, 0.494) (multiplicity 1)
O (0.371, 0.144, 0.113) (multiplicity 1)
O (0.371, 0.785, 0.322) (multiplicity 1)
O (0.377, 0.727, 0.607) (multiplicity 1)
O (0.389, 0.149, 0.839) (multiplicity 1)
O (0.487, 0.321, 0.889) (multiplicity 1)
O (0.487, 0.490, 0.273) (multiplicity 1)
O (0.490, 0.524, 0.384) (multiplicity 1)
O (0.492, 0.306, 0.776) (multiplicity 1)
O (0.500, 0.978, 0.010) (multiplicity 1)
O (0.503, 0.013, 0.322) (multiplicity 1)
O (0.510, 0.270, 0.171) (multiplicity 1)
O (0.512, 0.493, 0.988) (multiplicity 1)
O (0.512, 0.775, 0.495) (multiplicity 1)
O (0.513, 0.320, 0.482) (multiplicity 1)
O (0.516, 0.756, 0.837) (multiplicity 1)
O (0.521, 0.467, 0.675) (multiplicity 1)
O (0.528, 0.759, 0.108) (multiplicity 1)
O (0.532, 0.794, 0.219) (multiplicity 1)
O (0.557, 0.009, 0.612) (multiplicity 1)
O (0.570, 0.954, 0.722) (multiplicity 1)
O (0.643, 0.138, 0.379) (multiplicity 1)
O (0.649, 0.497, 0.171) (multiplicity 1)
O (0.661, 0.151, 0.990) (multiplicity 1)
O (0.675, 0.139, 0.675) (multiplicity 1)
O (0.676, 0.494, 0.775) (multiplicity 1)
O (0.679, 0.124, 0.267) (multiplicity 1)
O (0.688, 0.485, 0.889) (multiplicity 1)
O (0.699, 0.463, 0.484) (multiplicity 1)
O (0.759, 0.838, 0.942) (multiplicity 1)
O (0.779, 0.606, 0.557) (multiplicity 1)
O (0.788, 0.673, 0.450) (multiplicity 1)
O (0.800, 0.662, 0.166) (multiplicity 1)
O (0.816, 0.881, 0.054) (multiplicity 1)
O (0.825, 0.864, 0.323) (multiplicity 1)
O (0.828, 0.616, 0.828) (multiplicity 1)
O (0.834, 0.826, 0.665) (multiplicity 1)
O (0.837, 0.138, 0.481) (multiplicity 1)
O (0.850, 0.289, 0.675) (multiplicity 1)
O (0.852, 0.302, 0.991) (multiplicity 1)
O (0.856, 0.115, 0.890) (multiplicity 1)
O (0.861, 0.121, 0.776) (multiplicity 1)
O (0.864, 0.306, 0.268) (multiplicity 1)
O (0.873, 0.287, 0.381) (multiplicity 1)
O (0.875, 0.147, 0.167) (multiplicity 1)
O (0.962, 0.852, 0.829) (multiplicity 1)
O (0.966, 0.897, 0.549) (multiplicity 1)
O (0.969, 0.429, 0.058) (multiplicity 1)
O (0.979, 0.472, 0.663) (multiplicity 1)
O (0.999, 0.441, 0.322) (multiplicity 1)

## Properties
* total DFT energy (no corrections): -6.687 eV/atom
* crystal system: triclinic
* formation enthalpy at 0 K: -2.79 eV/atom
* total moment: 0.00 μB per atom

***

No. 11
Entry from the Materials Project database: a relaxed PuCo2Si2 crystal (PBE).

a b c (Å): 3.870 3.870 9.869
angles (deg): 90.00 90.00 90.00
Space group I4/mmm (No. 139)
Asymmetric unit:
Pu (0.000, 0.000, 0.000) (multiplicity 2)
Co (0.000, 0.500, 0.250) (multiplicity 4)
Si (0.000, 0.000, 0.372) (multiplicity 4)

## Properties
* total DFT energy (no corrections): -8.520 eV/atom
* crystal system: tetragonal
* formation enthalpy at 0 K: -0.62 eV/atom

***

No. 12
Entry from the Materials Project database: a relaxed MnGa2S4 crystal (PBE).

a b c (Å): 3.7449 3.7449 37.2063
angles (deg): 90.00 90.00 120.00
Space group R3m (No. 160, hexagonal axes)
Asymmetric unit:
Mn (0.0000, 0.0000, 0.0000) (multiplicity 3)
Ga (0.0000, 0.0000, 0.5303) (multiplicity 3)
Ga (0.0000, 0.0000, 0.7646) (multiplicity 3)
S (0.0000, 0.0000, 0.0655) (multiplicity 3)
S (0.0000, 0.0000, 0.4689) (multiplicity 3)
S (0.0000, 0.0000, 0.6435) (multiplicity 3)
S (0.0000, 0.0000, 0.8887) (multiplicity 3)

## Properties
* total DFT energy (no corrections): -5.074 eV/atom
* crystal system: trigonal
* formation enthalpy at 0 K: -0.82 eV/atom
* total moment: 0.65 μB per atom

***

No. 13
Entry from the Materials Project database: a relaxed Ba3ZrNb4O15 crystal (PBE).

a b c (Å): 12.843 12.843 4.151
angles (deg): 90.00 90.00 90.00
Space group P4bm (No. 100)
Asymmetric unit:
Ba (0.000, 0.000, 0.000) (multiplicity 2)
Ba (0.169, 0.331, 0.002) (multiplicity 4)
Zr (0.000, 0.500, 0.482) (multiplicity 2)
Nb (0.076, 0.787, 0.520) (multiplicity 8)
O (0.000, 0.500, 0.977) (multiplicity 2)
O (0.011, 0.335, 0.474) (multiplicity 8)
O (0.066, 0.137, 0.473) (multiplicity 8)
O (0.082, 0.796, 0.971) (multiplicity 8)
O (0.219, 0.719, 0.473) (multiplicity 4)

## Properties
* total DFT energy (no corrections): -8.445 eV/atom
* crystal system: tetragonal
* formation enthalpy at 0 K: -3.29 eV/atom
* total moment: 0.00 μB per atom